Entry 1:
! TiCu3O4 (PBE-GGA, optimized geometry); values from VASP
&SYSTEM
  ibrav = 0, nat = 16, ntyp = 3
/
ATOMIC_SPECIES
Cu 63.55 Cu.upf
Ti 47.87 Ti.upf
O 16.00 O.upf
CELL_PARAMETERS angstrom
11.552 0.000 0.000
0.000 3.090 0.000
0.000 2.682 5.256
ATOMIC_POSITIONS crystal
Cu 0.249 0.693 0.827
Cu 0.000 0.000 0.500
Cu 0.751 0.307 0.173
Cu 0.251 0.693 0.327
Cu 0.500 0.000 0.000
Cu 0.749 0.307 0.673
Ti 0.500 0.000 0.500
Ti 0.000 0.000 0.000
O 0.089 0.645 0.842
O 0.911 0.355 0.158
O 0.411 0.645 0.342
O 0.594 0.245 0.197
O 0.589 0.355 0.658
O 0.094 0.755 0.303
O 0.906 0.245 0.697
O 0.406 0.755 0.803
! Calculated formation energy = -13.8 eV/f.u.
! E_tot = -6.37 eV/atom
! MP2020-corrected energy = -107.5 eV per cell

***

Entry 2:
! BCl2 (PBE-GGA, optimized geometry); values from VASP
&SYSTEM
  ibrav = 0, nat = 24, ntyp = 2
/
ATOMIC_SPECIES
Cl 35.45 Cl.upf
B 10.81 B.upf
CELL_PARAMETERS angstrom
6.710 0.000 0.000
0.000 8.456 0.000
0.000 0.000 12.780
ATOMIC_POSITIONS crystal
Cl 0.220 0.832 0.917
Cl 0.787 0.451 0.362
Cl 0.213 0.951 0.138
Cl 0.713 0.951 0.362
Cl 0.287 0.451 0.138
Cl 0.780 0.332 0.583
Cl 0.787 0.049 0.862
Cl 0.780 0.168 0.083
Cl 0.720 0.668 0.083
Cl 0.287 0.049 0.638
Cl 0.213 0.549 0.638
Cl 0.280 0.168 0.417
Cl 0.220 0.668 0.417
Cl 0.280 0.332 0.917
Cl 0.720 0.832 0.583
Cl 0.713 0.549 0.862
B 0.894 0.053 0.986
B 0.894 0.447 0.486
B 0.106 0.553 0.514
B 0.606 0.553 0.986
B 0.606 0.947 0.486
B 0.106 0.947 0.014
B 0.394 0.053 0.514
B 0.394 0.447 0.014
! Calculated formation energy = -3.5 eV/f.u.
! E_tot = -4.21 eV/atom
! MP2020-corrected energy = -110.8 eV per cell

***

Entry 3:
! Mo2WSe2S4 (PBE-GGA, optimized geometry); values from VASP
&SYSTEM
  ibrav = 0, nat = 9, ntyp = 4
/
ATOMIC_SPECIES
S 32.06 S.upf
Se 78.96 Se.upf
W 183.84 W.upf
Mo 95.94 Mo.upf
CELL_PARAMETERS angstrom
-0.030 2.737 -1.721
-2.342 -0.583 2.151
16.081 13.490 21.163
ATOMIC_POSITIONS crystal
S 0.333 0.667 0.168
S 0.000 0.000 0.399
S 0.333 0.667 0.064
S 0.000 0.000 0.295
Se 0.333 0.667 0.521
Se 0.333 0.667 0.636
W 0.000 0.000 0.578
Mo 0.000 0.000 0.116
Mo 0.333 0.667 0.347
! Calculated formation energy = -8.8 eV/f.u.
! ΔE to the lowest computed polymorph = 0.21 eV per formula unit
! E_tot = -7.22 eV/atom
! MP2020-corrected energy = -67.0 eV per cell

***

Entry 4:
! Mo3PdPtN (PBE-GGA, optimized geometry); values from VASP
&SYSTEM
  ibrav = 0, nat = 24, ntyp = 4
/
ATOMIC_SPECIES
Mo 95.94 Mo.upf
Pd 106.42 Pd.upf
Pt 195.08 Pt.upf
N 14.01 N.upf
CELL_PARAMETERS angstrom
-0.306 6.878 0.199
-6.740 -0.260 -1.394
-1.385 -0.257 6.742
ATOMIC_POSITIONS crystal
Mo 0.700 0.952 0.624
Mo 0.200 0.548 0.376
Mo 0.300 0.452 0.876
Mo 0.048 0.124 0.800
Mo 0.800 0.048 0.124
Mo 0.376 0.200 0.548
Mo 0.124 0.800 0.048
Mo 0.452 0.876 0.300
Mo 0.624 0.700 0.952
Mo 0.952 0.624 0.700
Mo 0.876 0.300 0.452
Mo 0.548 0.376 0.200
Pd 0.191 0.191 0.191
Pd 0.691 0.309 0.809
Pd 0.309 0.809 0.691
Pd 0.809 0.691 0.309
Pt 0.441 0.059 0.941
Pt 0.941 0.441 0.059
Pt 0.559 0.559 0.559
Pt 0.059 0.941 0.441
N 0.876 0.876 0.876
N 0.376 0.624 0.124
N 0.124 0.376 0.624
N 0.624 0.124 0.376
! Calculated formation energy = -2.1 eV/f.u.
! E_tot = -8.98 eV/atom
! MP2020-corrected energy = -216.9 eV per cell

***

Entry 5:
! TmCuS2 (PBE-GGA, optimized geometry); values from VASP
&SYSTEM
  ibrav = 0, nat = 16, ntyp = 3
/
ATOMIC_SPECIES
S 32.06 S.upf
Tm 168.93 Tm.upf
Cu 63.55 Cu.upf
CELL_PARAMETERS angstrom
-0.240 -3.938 -0.404
5.921 -0.562 1.957
-4.254 -1.032 12.572
ATOMIC_POSITIONS crystal
S 0.721 0.483 0.207
S 0.221 0.017 0.793
S 0.279 0.983 0.293
S 0.221 0.486 0.960
S 0.779 0.517 0.707
S 0.721 0.014 0.040
S 0.779 0.986 0.540
S 0.279 0.514 0.460
Tm 0.718 0.253 0.866
Tm 0.282 0.753 0.634
Tm 0.218 0.247 0.134
Tm 0.782 0.747 0.366
Cu 0.705 0.349 0.556
Cu 0.295 0.849 0.944
Cu 0.795 0.651 0.056
Cu 0.205 0.151 0.444
! Calculated formation energy = -6.5 eV/f.u.
! E_tot = -5.58 eV/atom
! MP2020-corrected energy = -93.2 eV per cell

***

Entry 6:
! MgTe2Mo2W2Se4S2 (PBE-GGA, optimized geometry); values from VASP
&SYSTEM
  ibrav = 0, nat = 13, ntyp = 6
/
ATOMIC_SPECIES
Mg 24.30 Mg.upf
W 183.84 W.upf
Mo 95.94 Mo.upf
Se 78.96 Se.upf
Te 127.60 Te.upf
S 32.06 S.upf
CELL_PARAMETERS angstrom
3.336 0.000 0.000
-1.668 2.889 0.000
-0.001 -0.001 37.068
ATOMIC_POSITIONS crystal
Mg 0.336 0.606 0.868
W 0.333 0.667 0.470
W 0.666 0.333 0.658
Mo 0.667 0.333 0.282
Mo 0.333 0.666 0.094
Se 0.333 0.666 0.613
Se 0.333 0.667 0.703
Se 0.667 0.333 0.515
Se 0.667 0.333 0.424
Te 0.666 0.333 0.042
Te 0.667 0.333 0.145
S 0.333 0.666 0.241
S 0.333 0.666 0.323
! Calculated formation energy = -6.6 eV/f.u.
! ΔE to the lowest computed polymorph = 0.53 eV per formula unit
! E_tot = -6.41 eV/atom
! MP2020-corrected energy = -84.3 eV per cell